VASP calculation (PBE-GGA) on a relaxed Na6Ta3In5Si6S6O48 crystal.

The structure in CIF format:
```
data_Na6Ta3In5Si6S6O48
_chemical_formula_sum 'Na18 Ta9 In15 Si18 S18 O144'
_space_group_name_H-M_alt 'P 1'
_space_group_IT_number 1
_space_group_name_Hall 'P 1'
_cell_length_a 17.993
_cell_length_b 8.994
_cell_length_c 23.035
_cell_angle_alpha 89.96
_cell_angle_beta 90.06
_cell_angle_gamma 119.88
loop_
_atom_site_label
_atom_site_type_symbol
_atom_site_fract_x
_atom_site_fract_y
_atom_site_fract_z
_atom_site_occupancy
Na1 Na 0.483 0.682 0.911 1
Na2 Na 0.163 0.314 0.911 1
Na3 Na 0.486 0.294 0.414 1
Na4 Na 0.977 0.289 0.408 1
Na5 Na 0.163 0.024 0.411 1
Na6 Na 0.665 0.032 0.418 1
Na7 Na 0.984 0.969 0.492 1
Na8 Na 0.494 0.988 0.492 1
Na9 Na 0.995 0.000 0.997 1
Na10 Na 0.501 0.998 0.990 1
Na11 Na 0.333 0.328 0.822 1
Na12 Na 0.832 0.342 0.829 1
Na13 Na 0.337 0.329 0.330 1
Na14 Na 0.839 0.339 0.334 1
Na15 Na 0.153 0.658 0.163 1
Na16 Na 0.667 0.651 0.166 1
Na17 Na 0.169 0.672 0.672 1
Na18 Na 0.663 0.658 0.664 1
Ta1 Ta 0.005 0.999 0.652 1
Ta2 Ta 0.501 0.005 0.656 1
Ta3 Ta 0.003 0.997 0.150 1
Ta4 Ta 0.508 0.022 0.147 1
Ta5 Ta 0.834 0.338 0.979 1
Ta6 Ta 0.160 0.674 0.310 1
Ta7 Ta 0.664 0.656 0.318 1
Ta8 Ta 0.165 0.651 0.809 1
Ta9 Ta 0.664 0.672 0.810 1
In1 In 0.996 0.994 0.349 1
In2 In 0.494 0.000 0.353 1
In3 In 0.002 0.000 0.849 1
In4 In 0.499 0.995 0.850 1
In5 In 0.335 0.334 0.689 1
In6 In 0.833 0.343 0.687 1
In7 In 0.334 0.327 0.189 1
In8 In 0.841 0.347 0.181 1
In9 In 0.332 0.335 0.981 1
In10 In 0.338 0.337 0.479 1
In11 In 0.834 0.339 0.476 1
In12 In 0.160 0.654 0.014 1
In13 In 0.668 0.666 0.019 1
In14 In 0.169 0.674 0.517 1
In15 In 0.667 0.669 0.512 1
Si1 Si 0.147 0.006 0.253 1
Si2 Si 0.997 0.292 0.252 1
Si3 Si 0.505 0.305 0.252 1
Si4 Si 0.147 0.293 0.752 1
Si5 Si 0.648 0.293 0.754 1
Si6 Si 0.000 0.702 0.754 1
Si7 Si 0.500 0.708 0.752 1
Si8 Si 0.352 0.997 0.754 1
Si9 Si 0.983 0.633 0.082 1
Si10 Si 0.692 0.341 0.084 1
Si11 Si 0.312 0.673 0.919 1
Si12 Si 0.018 0.368 0.915 1
Si13 Si 0.668 0.959 0.919 1
Si14 Si 0.310 0.953 0.418 1
Si15 Si 0.815 0.955 0.417 1
Si16 Si 0.667 0.372 0.419 1
Si17 Si 0.021 0.671 0.418 1
Si18 Si 0.519 0.667 0.417 1
S1 S 0.646 0.997 0.249 1
S2 S 0.354 0.714 0.248 1
S3 S 0.851 0.708 0.249 1
S4 S 0.853 0.995 0.749 1
S5 S 0.483 0.329 0.584 1
S6 S 0.981 0.329 0.584 1
S7 S 0.183 0.039 0.584 1
S8 S 0.684 0.037 0.585 1
S9 S 0.335 0.632 0.584 1
S10 S 0.835 0.637 0.584 1
S11 S 0.480 0.632 0.086 1
S12 S 0.336 0.039 0.084 1
S13 S 0.836 0.045 0.083 1
S14 S 0.185 0.329 0.086 1
S15 S 0.812 0.663 0.916 1
S16 S 0.523 0.379 0.916 1
S17 S 0.168 0.959 0.916 1
S18 S 0.168 0.381 0.416 1
O1 O 0.108 0.025 0.312 1
O2 O 0.607 0.018 0.302 1
O3 O 0.405 0.782 0.300 1
O4 O 0.901 0.779 0.301 1
O5 O 0.489 0.193 0.309 1
O6 O 0.987 0.193 0.311 1
O7 O 0.110 0.192 0.812 1
O8 O 0.607 0.186 0.811 1
O9 O 0.487 0.773 0.814 1
O10 O 0.977 0.783 0.808 1
O11 O 0.410 0.036 0.810 1
O12 O 0.901 0.024 0.802 1
O13 O 0.403 0.969 0.695 1
O14 O 0.896 0.968 0.697 1
O15 O 0.079 0.186 0.696 1
O16 O 0.583 0.200 0.695 1
O17 O 0.010 0.833 0.695 1
O18 O 0.517 0.841 0.696 1
O19 O 0.400 0.825 0.196 1
O20 O 0.897 0.818 0.196 1
O21 O 0.007 0.181 0.195 1
O22 O 0.514 0.193 0.194 1
O23 O 0.081 0.971 0.196 1
O24 O 0.586 0.975 0.197 1
O25 O 0.438 0.350 0.633 1
O26 O 0.939 0.353 0.635 1
O27 O 0.236 0.128 0.634 1
O28 O 0.739 0.125 0.635 1
O29 O 0.324 0.525 0.635 1
O30 O 0.824 0.533 0.636 1
O31 O 0.435 0.520 0.135 1
O32 O 0.948 0.527 0.140 1
O33 O 0.325 0.123 0.135 1
O34 O 0.821 0.114 0.136 1
O35 O 0.240 0.347 0.135 1
O36 O 0.741 0.357 0.143 1
O37 O 0.218 0.295 0.031 1
O38 O 0.738 0.309 0.026 1
O39 O 0.431 0.562 0.030 1
O40 O 0.918 0.526 0.026 1
O41 O 0.354 0.147 0.031 1
O42 O 0.847 0.154 0.031 1
O43 O 0.216 0.134 0.529 1
O44 O 0.721 0.136 0.530 1
O45 O 0.346 0.554 0.530 1
O46 O 0.851 0.566 0.532 1
O47 O 0.435 0.303 0.529 1
O48 O 0.932 0.304 0.530 1
O49 O 0.271 0.694 0.978 1
O50 O 0.775 0.685 0.969 1
O51 O 0.078 0.434 0.972 1
O52 O 0.571 0.455 0.970 1
O53 O 0.159 0.868 0.971 1
O54 O 0.648 0.832 0.974 1
O55 O 0.275 0.849 0.477 1
O56 O 0.778 0.850 0.476 1
O57 O 0.154 0.452 0.470 1
O58 O 0.642 0.444 0.475 1
O59 O 0.079 0.705 0.475 1
O60 O 0.575 0.709 0.475 1
O61 O 0.071 0.643 0.360 1
O62 O 0.571 0.637 0.360 1
O63 O 0.247 0.846 0.360 1
O64 O 0.751 0.853 0.359 1
O65 O 0.178 0.486 0.365 1
O66 O 0.678 0.498 0.360 1
O67 O 0.067 0.495 0.859 1
O68 O 0.569 0.493 0.864 1
O69 O 0.176 0.873 0.865 1
O70 O 0.681 0.854 0.861 1
O71 O 0.246 0.639 0.863 1
O72 O 0.759 0.641 0.864 1
O73 O 0.016 0.843 0.412 1
O74 O 0.515 0.838 0.406 1
O75 O 0.408 0.996 0.413 1
O76 O 0.912 0.994 0.412 1
O77 O 0.092 0.208 0.412 1
O78 O 0.585 0.184 0.410 1
O79 O 0.004 0.174 0.909 1
O80 O 0.511 0.209 0.911 1
O81 O 0.093 0.987 0.914 1
O82 O 0.585 0.979 0.914 1
O83 O 0.409 0.830 0.915 1
O84 O 0.899 0.812 0.911 1
O85 O 0.490 0.170 0.591 1
O86 O 0.988 0.168 0.592 1
O87 O 0.094 0.022 0.592 1
O88 O 0.597 0.024 0.592 1
O89 O 0.413 0.806 0.590 1
O90 O 0.914 0.814 0.593 1
O91 O 0.486 0.804 0.094 1
O92 O 0.985 0.824 0.091 1
O93 O 0.416 0.022 0.093 1
O94 O 0.916 0.032 0.088 1
O95 O 0.097 0.169 0.094 1
O96 O 0.592 0.157 0.093 1
O97 O 0.337 0.153 0.741 1
O98 O 0.839 0.138 0.739 1
O99 O 0.240 0.321 0.741 1
O100 O 0.740 0.314 0.743 1
O101 O 0.425 0.519 0.741 1
O102 O 0.923 0.512 0.743 1
O103 O 0.342 0.540 0.240 1
O104 O 0.837 0.534 0.243 1
O105 O 0.425 0.335 0.243 1
O106 O 0.915 0.317 0.245 1
O107 O 0.240 0.170 0.244 1
O108 O 0.729 0.147 0.241 1
O109 O 0.316 0.489 0.920 1
O110 O 0.817 0.501 0.921 1
O111 O 0.439 0.379 0.918 1
O112 O 0.925 0.360 0.926 1
O113 O 0.247 0.135 0.919 1
O114 O 0.757 0.146 0.928 1
O115 O 0.308 0.136 0.419 1
O116 O 0.816 0.139 0.418 1
O117 O 0.246 0.362 0.420 1
O118 O 0.752 0.358 0.418 1
O119 O 0.429 0.485 0.417 1
O120 O 0.933 0.489 0.418 1
O121 O 0.174 0.479 0.083 1
O122 O 0.671 0.496 0.077 1
O123 O 0.081 0.672 0.075 1
O124 O 0.566 0.655 0.083 1
O125 O 0.262 0.868 0.079 1
O126 O 0.762 0.870 0.077 1
O127 O 0.170 0.863 0.583 1
O128 O 0.673 0.863 0.583 1
O129 O 0.256 0.649 0.581 1
O130 O 0.759 0.658 0.581 1
O131 O 0.070 0.478 0.580 1
O132 O 0.570 0.482 0.582 1
O133 O 0.154 0.827 0.256 1
O134 O 0.650 0.837 0.250 1
O135 O 0.269 0.702 0.253 1
O136 O 0.768 0.707 0.251 1
O137 O 0.090 0.480 0.257 1
O138 O 0.595 0.492 0.254 1
O139 O 0.148 0.477 0.754 1
O140 O 0.657 0.488 0.761 1
O141 O 0.091 0.707 0.759 1
O142 O 0.593 0.701 0.758 1
O143 O 0.259 0.817 0.760 1
O144 O 0.768 0.831 0.754 1
```

Output
Magnetic moment, μB/atom: 0.00
Calculated formation energy, eV per atom: -2.4492